## AlCrN2 (GGA-PBE)

Data for an optimized crystal structure of AlCrN2.

## Properties
DFT formation energy = -905 meV per atom
Uncorrected energy = -8.24 eV per atom
V = 11.03 A^3/atom

a b c (Å): 4.498 4.498 8.723
angles (deg): 90.00 90.00 90.00
Space group I-42d (No. 122)
Symmetry-distinct sites (fractional):
Al 0.000 0.000 0.000 (multiplicity 4)
Cr 0.000 0.000 0.500 (multiplicity 4)
N 0.238 0.750 0.125 (multiplicity 8)



## Na4P2NO16 (GGA-PBE)

Data for an optimized crystal structure of Na4P2NO16.

## Properties
DFT formation energy = -614 meV per atom
Uncorrected energy = -5.01 eV per atom
Energy above the most stable polymorph in this dataset = 0.452 eV/atom
V = 17.34 A^3/atom

a b c (Å): 20.569 5.790 16.030
angles (deg): 90.00 123.30 90.00
Space group C2/c (No. 15)
Symmetry-distinct sites (fractional):
Na 0.057 0.109 0.167 (multiplicity 8)
Na 0.175 0.139 0.539 (multiplicity 8)
P 0.077 0.253 0.836 (multiplicity 8)
N 0.000 0.397 0.750 (multiplicity 4)
O 0.059 0.071 0.539 (multiplicity 8)
O 0.061 0.078 0.891 (multiplicity 8)
O 0.123 0.185 0.792 (multiplicity 8)
O 0.123 0.469 0.921 (multiplicity 8)
O 0.138 0.445 0.154 (multiplicity 8)
O 0.148 0.366 0.383 (multiplicity 8)
O 0.205 0.478 0.709 (multiplicity 8)
O 0.232 0.083 0.451 (multiplicity 8)



## UB6H36C6N3 (GGA-PBE)

Data for an optimized crystal structure of UB6H36C6N3.

## Properties
DFT formation energy = -215 meV per atom
Uncorrected energy = -5.08 eV per atom
Energy above the most stable polymorph in this dataset = 0.002 eV/atom
V = 9.46 A^3/atom

a b c (Å): 16.149 10.380 11.798
angles (deg): 90.00 95.81 90.00
Space group P2_1/c (No. 14)
Symmetry-distinct sites (fractional):
U 0.236 0.160 0.164 (multiplicity 4)
B 0.066 0.205 0.190 (multiplicity 4)
B 0.164 0.212 0.372 (multiplicity 4)
B 0.238 0.525 0.491 (multiplicity 4)
B 0.260 0.609 0.693 (multiplicity 4)
B 0.328 0.123 0.611 (multiplicity 4)
B 0.397 0.224 0.259 (multiplicity 4)
H 0.004 0.713 0.356 (multiplicity 4)
H 0.022 0.125 0.465 (multiplicity 4)
H 0.032 0.149 0.947 (multiplicity 4)
H 0.034 0.654 0.685 (multiplicity 4)
H 0.043 0.614 0.167 (multiplicity 4)
H 0.050 0.019 0.355 (multiplicity 4)
H 0.066 0.078 0.821 (multiplicity 4)
H 0.095 0.097 0.168 (multiplicity 4)
H 0.111 0.209 0.655 (multiplicity 4)
H 0.135 0.718 0.547 (multiplicity 4)
H 0.171 0.020 0.018 (multiplicity 4)
H 0.174 0.227 0.476 (multiplicity 4)
H 0.192 0.558 0.706 (multiplicity 4)
H 0.193 0.104 0.350 (multiplicity 4)
H 0.198 0.721 0.943 (multiplicity 4)
H 0.202 0.203 0.825 (multiplicity 4)
H 0.212 0.661 0.087 (multiplicity 4)
H 0.232 0.546 0.389 (multiplicity 4)
H 0.266 0.116 0.666 (multiplicity 4)
H 0.273 0.699 0.758 (multiplicity 4)
H 0.294 0.055 0.015 (multiplicity 4)
H 0.316 0.527 0.715 (multiplicity 4)
H 0.320 0.221 0.549 (multiplicity 4)
H 0.332 0.029 0.552 (multiplicity 4)
H 0.334 0.230 0.312 (multiplicity 4)
H 0.342 0.729 0.452 (multiplicity 4)
H 0.358 0.713 0.096 (multiplicity 4)
H 0.363 0.034 0.831 (multiplicity 4)
H 0.386 0.140 0.184 (multiplicity 4)
H 0.390 0.627 0.562 (multiplicity 4)
H 0.425 0.556 0.240 (multiplicity 4)
H 0.456 0.196 0.326 (multiplicity 4)
H 0.461 0.664 0.804 (multiplicity 4)
H 0.474 0.055 0.843 (multiplicity 4)
H 0.477 0.220 0.571 (multiplicity 4)
H 0.491 0.051 0.595 (multiplicity 4)
C 0.021 0.112 0.372 (multiplicity 4)
C 0.031 0.158 0.854 (multiplicity 4)
C 0.197 0.747 0.033 (multiplicity 4)
C 0.343 0.701 0.542 (multiplicity 4)
C 0.418 0.037 0.784 (multiplicity 4)
C 0.484 0.145 0.636 (multiplicity 4)
N 0.069 0.218 0.325 (multiplicity 4)
N 0.260 0.651 0.564 (multiplicity 4)
N 0.408 0.143 0.698 (multiplicity 4)



## NaMg2Zr2PS5O24 (GGA-PBE)

Data for an optimized crystal structure of NaMg2Zr2PS5O24.

## Properties
DFT formation energy = -2526 meV per atom
Uncorrected energy = -6.81 eV per atom
V = 14.82 A^3/atom

a b c (Å): 8.848 8.852 22.920
angles (deg): 89.89 89.89 60.10
Space group P1 (No. 1)
Symmetry-distinct sites (fractional):
Na 0.000 0.000 0.000 (multiplicity 1)
Na 0.001 0.992 0.504 (multiplicity 1)
Na 0.665 0.662 0.169 (multiplicity 1)
Mg 0.000 0.003 0.146 (multiplicity 1)
Mg 0.000 0.996 0.845 (multiplicity 1)
Mg 0.001 0.995 0.651 (multiplicity 1)
Mg 0.327 0.335 0.478 (multiplicity 1)
Mg 0.668 0.661 0.805 (multiplicity 1)
Mg 0.674 0.660 0.318 (multiplicity 1)
Zr 0.001 0.990 0.356 (multiplicity 1)
Zr 0.334 0.330 0.692 (multiplicity 1)
Zr 0.341 0.320 0.977 (multiplicity 1)
Zr 0.342 0.322 0.189 (multiplicity 1)
Zr 0.661 0.662 0.019 (multiplicity 1)
Zr 0.675 0.664 0.522 (multiplicity 1)
P 0.328 0.038 0.083 (multiplicity 1)
P 0.630 0.322 0.083 (multiplicity 1)
P 0.962 0.651 0.415 (multiplicity 1)
S 0.044 0.623 0.083 (multiplicity 1)
S 0.050 0.320 0.582 (multiplicity 1)
S 0.291 0.988 0.750 (multiplicity 1)
S 0.294 0.709 0.248 (multiplicity 1)
S 0.328 0.621 0.581 (multiplicity 1)
S 0.373 0.667 0.913 (multiplicity 1)
S 0.382 0.955 0.415 (multiplicity 1)
S 0.625 0.046 0.581 (multiplicity 1)
S 0.661 0.376 0.415 (multiplicity 1)
S 0.675 0.947 0.913 (multiplicity 1)
S 0.717 0.987 0.248 (multiplicity 1)
S 0.718 0.285 0.750 (multiplicity 1)
S 0.955 0.370 0.913 (multiplicity 1)
S 0.994 0.289 0.248 (multiplicity 1)
S 0.994 0.713 0.750 (multiplicity 1)
O 0.024 0.170 0.590 (multiplicity 1)
O 0.025 0.795 0.090 (multiplicity 1)
O 0.027 0.178 0.301 (multiplicity 1)
O 0.032 0.784 0.802 (multiplicity 1)
O 0.123 0.511 0.135 (multiplicity 1)
O 0.126 0.355 0.635 (multiplicity 1)
O 0.129 0.355 0.925 (multiplicity 1)
O 0.140 0.502 0.427 (multiplicity 1)
O 0.150 0.540 0.030 (multiplicity 1)
O 0.153 0.306 0.240 (multiplicity 1)
O 0.154 0.298 0.530 (multiplicity 1)
O 0.154 0.533 0.740 (multiplicity 1)
O 0.171 0.015 0.090 (multiplicity 1)
O 0.176 0.796 0.590 (multiplicity 1)
O 0.181 0.027 0.802 (multiplicity 1)
O 0.183 0.788 0.301 (multiplicity 1)
O 0.198 0.822 0.909 (multiplicity 1)
O 0.202 0.972 0.408 (multiplicity 1)
O 0.210 0.815 0.196 (multiplicity 1)
O 0.210 0.966 0.697 (multiplicity 1)
O 0.305 0.538 0.530 (multiplicity 1)
O 0.307 0.152 0.029 (multiplicity 1)
O 0.308 0.534 0.241 (multiplicity 1)
O 0.309 0.149 0.740 (multiplicity 1)
O 0.357 0.510 0.925 (multiplicity 1)
O 0.359 0.126 0.425 (multiplicity 1)
O 0.360 0.510 0.635 (multiplicity 1)
O 0.362 0.125 0.137 (multiplicity 1)
O 0.456 0.840 0.468 (multiplicity 1)
O 0.457 0.691 0.968 (multiplicity 1)
O 0.465 0.841 0.759 (multiplicity 1)
O 0.469 0.685 0.256 (multiplicity 1)
O 0.483 0.871 0.363 (multiplicity 1)
O 0.486 0.635 0.864 (multiplicity 1)
O 0.488 0.638 0.573 (multiplicity 1)
O 0.498 0.858 0.075 (multiplicity 1)
O 0.509 0.359 0.137 (multiplicity 1)
O 0.514 0.350 0.425 (multiplicity 1)
O 0.515 0.122 0.635 (multiplicity 1)
O 0.515 0.123 0.924 (multiplicity 1)
O 0.536 0.305 0.028 (multiplicity 1)
O 0.538 0.303 0.740 (multiplicity 1)
O 0.540 0.148 0.242 (multiplicity 1)
O 0.543 0.149 0.529 (multiplicity 1)
O 0.640 0.479 0.363 (multiplicity 1)
O 0.640 0.868 0.575 (multiplicity 1)
O 0.641 0.869 0.863 (multiplicity 1)
O 0.645 0.490 0.075 (multiplicity 1)
O 0.689 0.837 0.256 (multiplicity 1)
O 0.691 0.460 0.759 (multiplicity 1)
O 0.696 0.843 0.968 (multiplicity 1)
O 0.698 0.453 0.468 (multiplicity 1)
O 0.789 0.175 0.802 (multiplicity 1)
O 0.793 0.021 0.301 (multiplicity 1)
O 0.802 0.018 0.590 (multiplicity 1)
O 0.808 0.162 0.090 (multiplicity 1)
O 0.820 0.205 0.697 (multiplicity 1)
O 0.821 0.965 0.196 (multiplicity 1)
O 0.825 0.198 0.408 (multiplicity 1)
O 0.827 0.971 0.909 (multiplicity 1)
O 0.839 0.694 0.470 (multiplicity 1)
O 0.841 0.464 0.256 (multiplicity 1)
O 0.846 0.685 0.759 (multiplicity 1)
O 0.848 0.454 0.968 (multiplicity 1)
O 0.869 0.637 0.076 (multiplicity 1)
O 0.872 0.480 0.574 (multiplicity 1)
O 0.872 0.636 0.361 (multiplicity 1)
O 0.875 0.481 0.864 (multiplicity 1)
O 0.971 0.205 0.196 (multiplicity 1)
O 0.972 0.815 0.697 (multiplicity 1)
O 0.975 0.825 0.408 (multiplicity 1)
O 0.977 0.194 0.909 (multiplicity 1)



## SmCoC2 (GGA-PBE)

Data for an optimized crystal structure of SmCoC2.

## Properties
DFT formation energy = -304 meV per atom
Uncorrected energy = -7.87 eV per atom
V = 12.64 A^3/atom

a b c (Å): 5.295 5.298 7.356
angles (deg): 90.00 101.39 90.00
Space group Cc (No. 9)
Symmetry-distinct sites (fractional):
Sm 0.000 0.071 0.000 (multiplicity 4)
Co 0.057 0.431 0.694 (multiplicity 4)
C 0.328 0.182 0.773 (multiplicity 4)
C 0.482 0.075 0.927 (multiplicity 4)



## MgSn2O4 (GGA-PBE)

Data for an optimized crystal structure of MgSn2O4.

## Properties
DFT formation energy = -2095 meV per atom
Uncorrected energy = -5.90 eV per atom
Energy above the most stable polymorph in this dataset = 0.049 eV/atom
V = 14.59 A^3/atom

a b c (Å): 13.338 3.242 10.760
angles (deg): 90.00 118.59 90.00
Space group C2/m (No. 12)
Symmetry-distinct sites (fractional):
Mg 0.197 0.000 0.239 (multiplicity 4)
Sn 0.100 0.500 0.416 (multiplicity 4)
Sn 0.138 0.000 0.875 (multiplicity 4)
O 0.036 0.000 0.232 (multiplicity 4)
O 0.153 0.500 0.766 (multiplicity 4)
O 0.171 0.500 0.029 (multiplicity 4)
O 0.231 0.500 0.363 (multiplicity 4)